<A>
Compound: Mg6CoBiO8
Source: the Materials Project database
Functional: PBE+U
Structure: optimized geometry

Cell and atoms, written as CIF:
```
data_Mg6CoBiO8
_chemical_formula_sum 'Mg6 Co1 Bi1 O8'
_cell_length_a 4.473
_cell_length_b 4.473
_cell_length_c 8.950
_cell_angle_alpha 90.00
_cell_angle_beta 90.00
_cell_angle_gamma 90.00
_space_group_name_H-M_alt 'P 4/m m m'
_space_group_IT_number 123
_space_group_name_Hall '-P 4 2'
loop_
_atom_site_label
_atom_site_type_symbol
_atom_site_fract_x
_atom_site_fract_y
_atom_site_fract_z
Mg1 Mg 0.000 0.000 0.000
Mg2 Mg 0.000 0.000 0.500
Mg3 Mg 0.000 0.500 0.224
Co1 Co 0.500 0.500 0.000
Bi1 Bi 0.500 0.500 0.500
O1 O 0.000 0.000 0.251
O2 O 0.000 0.500 0.000
O3 O 0.000 0.500 0.500
O4 O 0.500 0.500 0.242
```

Volume: 179 Å³/cell

<B>
Compound: Mg6CoBiO8
Source: the Materials Project database
Functional: PBE+U
Structure: optimized geometry

Cell and atoms, written as CIF:
```
data_Mg6CoBiO8
_chemical_formula_sum 'Mg6 Co1 Bi1 O8'
_cell_length_a 4.450
_cell_length_b 4.450
_cell_length_c 8.875
_cell_angle_alpha 90.00
_cell_angle_beta 90.00
_cell_angle_gamma 90.00
_space_group_name_H-M_alt 'P 4/m m m'
_space_group_IT_number 123
_space_group_name_Hall '-P 4 2'
loop_
_atom_site_label
_atom_site_type_symbol
_atom_site_fract_x
_atom_site_fract_y
_atom_site_fract_z
Mg1 Mg 0.000 0.000 0.000
Mg2 Mg 0.000 0.500 0.237
Mg3 Mg 0.500 0.500 0.000
Co1 Co 0.000 0.000 0.500
Bi1 Bi 0.500 0.500 0.500
O1 O 0.000 0.000 0.233
O2 O 0.000 0.500 0.000
O3 O 0.000 0.500 0.500
O4 O 0.500 0.500 0.232
```

Volume: 176 Å³/cell

Energy ordering: <B> at the bottom, the next structure 4.5 kJ/mol of atoms above.